# Ca3BiAs

A relaxed Ca3BiAs crystal (GGA-PBE, the Materials Project).

- Energy: -19.07 eV for the cell shown

Structure (extended XYZ):
```
5
Lattice="-3.361 -0.682 -4.338 -4.273 -0.753 3.428 -1.014 5.436 -0.070" Properties=species:S:1:pos:R:3 pbc="T T T"
As -4.324 2.000 -0.490
Ca -2.187 2.377 -2.204
Ca -3.817 -0.718 -0.455
Ca -2.643 2.342 1.679
Bi 0.000 0.000 0.000
```


# Ca3BiAs

A relaxed Ca3BiAs crystal (GGA-PBE, the Materials Project).

- Energy: -15.97 eV for the cell shown

Structure (extended XYZ):
```
5
Lattice="5.840 0.000 0.000 0.000 5.840 0.000 0.000 0.000 5.840" Properties=species:S:1:pos:R:3 pbc="T T T"
As 0.000 0.000 0.000
Bi 2.920 2.920 2.920
Ca 2.920 0.000 2.920
Ca 0.000 2.920 2.920
Ca 2.920 2.920 0.000
```


energy of number 1 (Ca3BiAs)? -19.07 eV for the cell shown


energy of number 1 (Ca3BiAs)? -19.07 eV for the cell shown


Please write out number 1 again, unchanged.
# Ca3BiAs

A relaxed Ca3BiAs crystal (GGA-PBE, the Materials Project).

- Energy: -19.07 eV for the cell shown

Structure (extended XYZ):
```
5
Lattice="-3.361 -0.682 -4.338 -4.273 -0.753 3.428 -1.014 5.436 -0.070" Properties=species:S:1:pos:R:3 pbc="T T T"
As -4.324 2.000 -0.490
Ca -2.187 2.377 -2.204
Ca -3.817 -0.718 -0.455
Ca -2.643 2.342 1.679
Bi 0.000 0.000 0.000
```


Look up the energy of the first one. -19.07 eV for the cell shown